1.
meta-GGA r2SCAN Na3B5Pt9, optimized geometry; energy relative to the elements = -0.49 eV per atom; raw total energy = -1038.3 eV per cell
1.0
-3.110 4.306 3.503
-2.416 -4.185 -4.140
-1.510 -10.169 11.160
Pt B Na
18 10 6
direct
0.658 0.834 0.250
0.872 0.128 0.657
0.064 0.431 0.421
0.128 0.872 0.157
0.569 0.936 0.079
0.834 0.658 0.750
0.936 0.569 0.921
0.064 0.431 0.079
0.000 0.000 0.000
0.569 0.936 0.421
0.872 0.128 0.843
0.936 0.569 0.579
0.431 0.064 0.579
0.128 0.872 0.343
0.342 0.166 0.750
0.000 0.000 0.500
0.166 0.342 0.250
0.431 0.064 0.921
0.945 0.055 0.353
0.272 0.728 0.250
0.055 0.945 0.853
0.055 0.945 0.647
0.811 0.189 0.528
0.728 0.272 0.750
0.811 0.189 0.972
0.189 0.811 0.472
0.945 0.055 0.147
0.189 0.811 0.028
0.559 0.441 0.086
0.686 0.314 0.250
0.441 0.559 0.914
0.559 0.441 0.414
0.441 0.559 0.586
0.314 0.686 0.750

---

2.
meta-GGA r2SCAN NaBS2, optimized geometry; energy relative to the elements = -0.91 eV per atom; raw total energy = -183.6 eV per cell
1.0
-6.539 6.240 0.574
-1.765 -6.375 -6.186
2.269 -3.459 8.057
S Na B
12 6 6
direct
0.985 0.750 0.515
0.250 0.485 0.015
0.127 0.373 0.250
0.750 0.873 0.627
0.373 0.250 0.127
0.015 0.250 0.485
0.485 0.015 0.250
0.250 0.127 0.373
0.627 0.750 0.873
0.873 0.627 0.750
0.515 0.985 0.750
0.750 0.515 0.985
0.714 0.786 0.250
0.214 0.750 0.286
0.786 0.250 0.714
0.286 0.214 0.750
0.250 0.714 0.786
0.750 0.286 0.214
0.868 0.750 0.632
0.632 0.868 0.750
0.132 0.250 0.368
0.250 0.368 0.132
0.750 0.632 0.868
0.368 0.132 0.250

---

3.
meta-GGA r2SCAN Na4B9Se9, optimized geometry; energy relative to the elements = -0.60 eV per atom; raw total energy = -889.1 eV per cell
1.0
-2.938 3.795 15.602
-1.368 -10.679 2.340
9.299 -6.106 3.237
Se Na B
36 16 36
direct
0.667 0.798 0.416
0.686 0.596 0.118
0.814 0.596 0.618
0.186 0.404 0.382
0.589 0.225 0.300
0.197 0.982 0.493
0.333 0.202 0.584
0.077 0.793 0.902
0.983 0.158 0.519
0.658 0.742 0.791
0.923 0.207 0.098
0.506 0.520 0.672
0.190 0.650 0.548
0.842 0.742 0.291
0.089 0.775 0.200
0.017 0.842 0.481
0.342 0.258 0.209
0.911 0.225 0.800
0.310 0.650 0.048
0.494 0.480 0.328
0.517 0.158 0.019
0.690 0.350 0.952
0.303 0.982 0.993
0.314 0.404 0.882
0.810 0.350 0.452
0.803 0.018 0.507
0.833 0.798 0.916
0.158 0.258 0.709
0.411 0.775 0.700
0.167 0.202 0.084
0.577 0.207 0.598
0.483 0.842 0.981
0.006 0.480 0.828
0.697 0.018 0.007
0.423 0.793 0.402
0.994 0.520 0.172
0.160 0.531 0.937
0.577 0.811 0.205
0.377 0.030 0.460
0.923 0.811 0.705
0.840 0.469 0.063
0.623 0.970 0.540
0.423 0.189 0.795
0.660 0.469 0.563
0.742 0.063 0.737
0.758 0.063 0.237
0.258 0.937 0.263
0.242 0.937 0.763
0.077 0.189 0.295
0.123 0.030 0.960
0.877 0.970 0.040
0.340 0.531 0.437
0.499 0.344 0.005
0.725 0.721 0.940
0.434 0.383 0.108
0.225 0.279 0.560
0.775 0.721 0.440
0.275 0.279 0.060
0.001 0.344 0.505
0.054 0.697 0.086
0.364 0.826 0.010
0.590 0.440 0.975
0.542 0.369 0.132
0.090 0.560 0.525
0.458 0.631 0.868
0.136 0.826 0.510
0.989 0.499 0.355
0.636 0.174 0.990
0.916 0.537 0.562
0.934 0.617 0.392
0.910 0.440 0.475
0.501 0.656 0.995
0.410 0.560 0.025
0.011 0.501 0.645
0.066 0.383 0.608
0.511 0.499 0.855
0.584 0.537 0.062
0.958 0.369 0.632
0.416 0.463 0.938
0.946 0.303 0.914
0.864 0.174 0.490
0.999 0.656 0.495
0.566 0.617 0.892
0.084 0.463 0.438
0.446 0.697 0.586
0.042 0.631 0.368
0.554 0.303 0.414
0.489 0.501 0.145

---

4.
meta-GGA r2SCAN Na6B18Se17, optimized geometry; energy relative to the elements = -0.54 eV per atom; raw total energy = -838.2 eV per cell
1.0
8.276 9.045 0.006
-8.276 9.045 0.007
-0.001 0.273 11.345
Se B Na
34 36 12
direct
0.184 0.674 0.647
0.501 0.272 0.855
0.910 0.751 0.659
0.257 0.360 0.614
0.332 0.488 0.947
0.470 0.007 0.322
0.746 0.641 0.385
0.498 0.728 0.143
0.925 0.074 0.249
0.045 0.753 0.332
0.488 0.332 0.447
0.816 0.324 0.357
0.324 0.816 0.857
0.529 0.994 0.678
0.753 0.046 0.832
0.511 0.665 0.545
0.239 0.969 0.471
0.665 0.511 0.045
0.674 0.184 0.147
0.248 0.090 0.840
0.728 0.498 0.643
0.246 0.954 0.169
0.954 0.246 0.669
0.272 0.501 0.355
0.641 0.746 0.885
0.090 0.248 0.340
0.031 0.761 0.030
0.994 0.529 0.178
0.007 0.470 0.822
0.074 0.925 0.749
0.970 0.239 0.971
0.360 0.257 0.114
0.761 0.031 0.530
0.751 0.910 0.159
0.601 0.657 0.025
0.344 0.399 0.474
0.112 0.429 0.560
0.996 0.504 0.352
0.504 0.996 0.852
0.424 0.910 0.938
0.910 0.424 0.438
0.005 0.495 0.648
0.685 0.023 0.678
0.429 0.112 0.060
0.221 0.939 0.810
0.399 0.344 0.974
0.574 0.091 0.062
0.091 0.574 0.562
0.880 0.493 0.573
0.023 0.685 0.178
0.977 0.314 0.822
0.980 0.378 0.568
0.061 0.778 0.688
0.569 0.890 0.940
0.613 0.950 0.070
0.051 0.385 0.430
0.378 0.980 0.068
0.385 0.051 0.930
0.657 0.601 0.525
0.495 0.005 0.148
0.506 0.121 0.927
0.778 0.061 0.188
0.620 0.021 0.932
0.939 0.221 0.310
0.021 0.620 0.432
0.889 0.569 0.440
0.950 0.613 0.570
0.493 0.880 0.073
0.121 0.506 0.427
0.314 0.977 0.322
0.003 0.000 0.001
0.304 0.740 0.428
0.590 0.475 0.283
0.259 0.686 0.076
0.740 0.304 0.928
0.000 0.003 0.501
0.686 0.259 0.576
0.475 0.590 0.783
0.368 0.147 0.541
0.147 0.368 0.041
0.631 0.857 0.457
0.857 0.631 0.957

---

5.
meta-GGA r2SCAN Na3ThB24, optimized geometry; energy relative to the elements = -0.23 eV per atom; raw total energy = -267.0 eV per cell
1.0
4.141 0.000 0.000
0.000 4.141 0.000
0.000 0.000 16.576
B Na Th
24 3 1
direct
0.000 0.699 0.375
0.699 0.000 0.375
0.699 0.000 0.625
0.701 0.000 0.876
0.000 0.000 0.200
0.000 0.000 0.049
0.000 0.000 0.451
0.301 0.000 0.625
0.000 0.000 0.549
0.000 0.000 0.700
0.000 0.299 0.876
0.000 0.301 0.625
0.000 0.699 0.625
0.000 0.000 0.800
0.701 0.000 0.124
0.000 0.701 0.124
0.000 0.301 0.375
0.000 0.299 0.124
0.299 0.000 0.124
0.000 0.701 0.876
0.000 0.000 0.300
0.301 0.000 0.375
0.299 0.000 0.876
0.000 0.000 0.951
0.500 0.500 0.500
0.500 0.500 0.268
0.500 0.500 0.732
0.500 0.500 0.000

---

6.
meta-GGA r2SCAN Nb2B3, optimized geometry; energy relative to the elements = -0.77 eV per atom; raw total energy = -150.7 eV per cell
1.0
0.000 0.000 -3.138
-3.322 0.000 0.000
1.661 9.791 0.000
B Nb
6 4
direct
0.750 0.023 0.046
0.250 0.165 0.330
0.250 0.884 0.769
0.250 0.977 0.954
0.750 0.835 0.670
0.750 0.116 0.231
0.750 0.702 0.405
0.750 0.431 0.862
0.250 0.298 0.595
0.250 0.569 0.138

---

7.
meta-GGA r2SCAN Nb3B2, optimized geometry; energy relative to the elements = -0.67 eV per atom; raw total energy = -184.5 eV per cell
1.0
-1.128 -2.170 2.233
4.718 1.460 3.802
-3.476 4.476 2.595
B Nb
4 6
direct
0.000 0.105 0.395
0.000 0.895 0.605
0.000 0.605 0.105
0.000 0.395 0.895
0.500 0.678 0.822
0.500 0.178 0.678
0.000 0.000 0.000
0.500 0.322 0.178
0.000 0.500 0.500
0.500 0.822 0.322

---

8.
meta-GGA r2SCAN NbB2, optimized geometry; energy relative to the elements = -0.71 eV per atom; raw total energy = -41.5 eV per cell
1.0
3.111 0.000 0.000
-1.556 2.694 0.000
0.000 0.000 3.345
B Nb
2 1
direct
0.333 0.667 0.500
0.667 0.333 0.500
0.000 0.000 0.000

---

9.
meta-GGA r2SCAN NbB, optimized geometry; energy relative to the elements = -0.81 eV per atom; raw total energy = -67.4 eV per cell
1.0
-1.245 -2.733 1.032
1.934 -1.676 -2.103
2.154 0.578 4.129
Nb B
2 2
direct
0.250 0.855 0.709
0.750 0.145 0.291
0.750 0.442 0.884
0.250 0.558 0.116

---

10.
meta-GGA r2SCAN Nb5Si3B, optimized geometry; energy relative to the elements = -0.72 eV per atom; raw total energy = -327.6 eV per cell
1.0
2.282 7.296 -0.366
-7.214 -1.846 -1.766
-1.416 0.696 5.056
Nb Si B
10 6 2
direct
0.333 0.667 0.500
0.753 0.753 0.250
0.247 0.247 0.750
0.667 0.333 0.500
0.247 0.000 0.250
0.000 0.247 0.250
0.667 0.333 0.000
0.000 0.753 0.750
0.753 0.000 0.750
0.333 0.667 0.000
0.402 0.000 0.750
0.598 0.000 0.250
0.000 0.598 0.250
0.598 0.598 0.750
0.402 0.402 0.250
0.000 0.402 0.750
0.000 0.000 0.000
0.000 0.000 0.500

---

11.
meta-GGA r2SCAN Nb5SiB2, optimized geometry; energy relative to the elements = -0.70 eV per atom; raw total energy = -305.4 eV per cell
1.0
-2.178 -3.298 6.176
-2.060 5.409 4.501
-2.012 -1.306 -6.929
Nb B Si
10 4 2
direct
0.532 0.032 0.839
0.193 0.693 0.161
0.500 0.500 0.000
0.307 0.468 0.500
0.968 0.807 0.500
0.000 0.000 0.000
0.468 0.968 0.161
0.032 0.193 0.500
0.693 0.532 0.500
0.807 0.307 0.839
0.888 0.388 0.276
0.112 0.612 0.724
0.388 0.112 0.500
0.612 0.888 0.500
0.750 0.750 0.000
0.250 0.250 0.000

---

12.
meta-GGA r2SCAN TiNbB2, optimized geometry; energy relative to the elements = -0.85 eV per atom; raw total energy = -55.8 eV per cell
1.0
-0.992 1.729 4.184
-2.077 -2.526 -3.284
1.062 -2.595 1.324
Nb B Ti
1 2 1
direct
0.146 0.854 0.500
0.442 0.558 0.500
0.557 0.443 0.000
0.855 0.145 0.000

---

13.
meta-GGA r2SCAN TiNbB4, optimized geometry; energy relative to the elements = -0.91 eV per atom; raw total energy = -72.5 eV per cell
1.0
0.521 1.849 -2.396
-2.785 -1.226 0.416
-1.742 5.190 3.624
B Nb Ti
4 1 1
direct
0.333 0.667 0.741
0.667 0.333 0.259
0.333 0.667 0.259
0.667 0.333 0.741
0.000 0.000 0.000
0.000 0.000 0.500